## Ca2Nb2NiO8 (GGA+U)

Data for crystalline Ca2Nb2NiO8 at its relaxed geometry.

Cell: 9.9559 9.9559 5.4850 Å, 91.17 91.17 36.91°
Last column: nearest neighbours and their distance in Å.
Atoms (fractional coordinates):
Ca  0.0228  0.3912  0.2425  4 O 2.21-2.36
Ca  0.3912  0.0228  0.7425  4 O 2.21-2.36
Ca  0.6088  0.9772  0.2575  4 O 2.21-2.36
Ca  0.9772  0.6088  0.7575  4 O 2.21-2.36
Nb  0.2353  0.5455  0.2451  4 O 1.88-2.04
Nb  0.4545  0.7647  0.2549  4 O 1.88-2.04
Nb  0.5455  0.2353  0.7451  4 O 1.88-2.04
Nb  0.7647  0.4545  0.7549  4 O 1.88-2.04
Ni  0.1408  0.8592  0.7500  6 O 2.08-2.28
Ni  0.8592  0.1408  0.2500  6 O 2.08-2.28
O  0.0360  0.3327  0.8433  1 Nb 1.93
O  0.0863  0.8021  0.4192  1 Nb 1.88, 1 Ni 2.08
O  0.1979  0.9137  0.0808  1 Nb 1.88, 1 Ni 2.08
O  0.2604  0.3772  0.4932  1 Nb 2.03, 1 Ca 2.24
O  0.3023  0.5605  0.9061  2 Nb 2.04-2.14, 1 Ni 2.14
O  0.3327  0.0360  0.3433  1 Nb 1.93
O  0.3772  0.2604  0.9932  1 Nb 2.03, 1 Ca 2.24
O  0.4395  0.6977  0.5939  2 Nb 2.04-2.14, 1 Ni 2.14
O  0.5605  0.3023  0.4061  2 Nb 2.04-2.14, 1 Ni 2.14
O  0.6228  0.7396  0.0068  1 Nb 2.03, 1 Ca 2.24
O  0.6673  0.9640  0.6567  1 Nb 1.93
O  0.6977  0.4395  0.0939  2 Nb 2.04-2.14, 1 Ni 2.14
O  0.7396  0.6228  0.5068  1 Nb 2.03, 1 Ca 2.24
O  0.8021  0.0863  0.9192  1 Nb 1.88, 1 Ni 2.08
O  0.9137  0.1979  0.5808  1 Nb 1.88, 1 Ni 2.08
O  0.9640  0.6673  0.1567  1 Nb 1.93

Output
* formation energy: -2.879 eV/atom
* size of the total moment: 4.0 μB/cell
* total energy after the MP2020 corrections: -8.231 eV/atom